PBE Na2CaZr2Si10HO26, relaxed; V = 18.00 Å³/atom; total DFT energy (no corrections) = -640.5 eV/cell
1.0
-1.7818 6.7733 6.4067
9.0439 -2.8819 -0.0177
0.6950 10.9988 -15.3588
Na Ca Zr Si H O
4 2 4 20 2 52
direct
0.8971 0.9630 0.8062
0.9630 0.8971 0.3062
0.7395 0.6785 0.9832
0.6785 0.7395 0.4832
0.2744 0.5038 0.8958
0.5038 0.2744 0.3958
0.3953 0.8936 0.8861
0.8936 0.3953 0.3861
0.3665 0.8537 0.3858
0.8537 0.3665 0.8858
0.0259 0.6054 0.7715
0.6054 0.0259 0.2715
0.7309 0.1257 0.0020
0.1257 0.7309 0.5020
0.5787 0.1777 0.6298
0.1777 0.5787 0.1298
0.7227 0.1171 0.4925
0.1171 0.7227 0.9925
0.2676 0.0696 0.5128
0.0696 0.2676 0.0128
0.0649 0.2617 0.5087
0.2617 0.0649 0.0087
0.6147 0.0247 0.7658
0.0247 0.6147 0.2658
0.1692 0.5746 0.6317
0.5746 0.1692 0.1317
0.4761 0.6784 0.7513
0.6784 0.4761 0.2513
0.4805 0.6809 0.2514
0.6809 0.4805 0.7514
0.4990 0.4069 0.9487
0.4069 0.4990 0.4487
0.3957 0.1127 0.5887
0.1127 0.3957 0.0887
0.2489 0.7308 0.9430
0.7308 0.2489 0.4430
0.6868 0.1731 0.5711
0.1731 0.6868 0.0711
0.0563 0.5631 0.6901
0.5631 0.0563 0.1901
0.6293 0.8588 0.2607
0.8588 0.6293 0.7607
0.2041 0.2046 0.5156
0.2046 0.2041 0.0156
0.4740 0.0230 0.3184
0.0230 0.4740 0.8184
0.1588 0.7014 0.5846
0.7014 0.1588 0.0846
0.6840 0.3964 0.8195
0.3964 0.6840 0.3195
0.1072 0.4024 0.5791
0.4024 0.1072 0.0791
0.8979 0.1148 0.5098
0.1148 0.8979 0.0098
0.5900 0.0648 0.6853
0.0648 0.5900 0.1853
0.7877 0.1421 0.8159
0.1421 0.7877 0.3159
0.3167 0.0473 0.9314
0.0473 0.3167 0.4314
0.6237 0.8491 0.7538
0.8491 0.6237 0.2538
0.5978 0.9531 0.9555
0.9531 0.5978 0.4555
0.9024 0.1165 0.0096
0.1165 0.9024 0.5096
0.7341 0.2644 0.9602
0.2644 0.7341 0.4602
0.3495 0.6316 0.6747
0.6316 0.3495 0.1747
0.0609 0.3422 0.9404
0.3422 0.0609 0.4404
0.3599 0.6418 0.1734
0.6418 0.3599 0.6734
0.5067 0.4919 0.4508
0.4919 0.5067 0.9508
0.3946 0.6840 0.8218
0.6840 0.3946 0.3218
0.4657 0.0016 0.8037
0.0016 0.4657 0.3037
0.5516 0.5520 0.7500
0.5520 0.5516 0.2500
0.5969 0.9391 0.4526
0.9391 0.5969 0.9526

PBE CaNi5H, relaxed; V = 12.27 Å³/atom; energy above the most stable polymorph in this dataset = 13 meV/atom
1.0
0.0002 -4.8612 1.0438
3.9284 -2.7524 -1.3090
1.7331 0.6880 3.5102
Ca Ni H
1 5 1
direct
0.9960 0.9960 0.9798
0.3402 0.3402 0.0116
0.6619 0.6619 0.0098
0.5003 0.5003 0.5125
0.5110 0.9918 0.5172
0.9918 0.5110 0.5172
0.2029 0.2029 0.3059

PBE CaNi5H, relaxed; V = 12.01 Å³/atom; energy above the most stable polymorph in this dataset = 29 meV/atom
1.0
0.7708 3.1193 3.7517
-3.9260 0.6747 -2.9207
-2.1552 -2.3099 2.3634
Ca Ni H
1 5 1
direct
0.9978 0.0022 0.0000
0.3390 0.6610 0.0000
0.6624 0.3376 0.0000
0.4965 0.5035 0.5000
0.5044 0.0073 0.5000
0.9927 0.4956 0.5000
0.1433 0.8567 0.5000